A:
A relaxed structure of Li3Co4SnO8, computed with PBE with a Hubbard U.

The structure in POSCAR format:
```
Li3Co4SnO8
1.0
1.8162 4.2166 -3.9372
5.0844 -0.8356 -3.1391
-2.9162 -3.4379 -9.5447
O Li Sn Co
16 6 2 8
direct
0.3816 0.8717 0.8801
0.6218 0.1365 0.1175
0.1291 0.0984 0.1372
0.9094 0.8706 0.8606
0.1296 0.0914 0.6317
0.8658 0.3792 0.8786
0.5906 0.6294 0.6394
0.3614 0.8769 0.3760
0.6149 0.6226 0.1277
0.1386 0.6231 0.1240
0.3704 0.4086 0.8683
0.8851 0.8774 0.3723
0.1184 0.6283 0.6199
0.8782 0.3635 0.3825
0.6342 0.1208 0.6214
0.3709 0.4016 0.3628
0.7500 0.7500 0.2500
0.4941 0.9947 0.0090
0.2500 0.2500 0.7500
0.4993 0.9922 0.5050
0.0007 0.5078 0.9950
0.0059 0.5053 0.4910
0.9973 0.9964 0.5007
0.5027 0.5036 0.9993
0.2500 0.7500 0.7500
0.0033 0.0000 0.9977
0.2500 0.7500 0.2500
0.7500 0.2500 0.2500
0.7500 0.2500 0.7500
0.4967 0.5000 0.5022
0.2500 0.2500 0.2500
0.7500 0.7500 0.7500
```

Computed properties:
**Space group**: P-1
**Magnetic moment**: 9.00 μB/f.u.
**V**: 158 Å³/f.u.

B:
A relaxed structure of Li3Co4SnO8, computed with PBE with a Hubbard U.

The structure in POSCAR format:
```
Li3Co4SnO8
1.0
-3.4773 -4.2215 -2.5208
-5.1581 4.8132 -7.7102
1.7888 -2.6316 -5.1727
Sn O Co Li
2 16 8 6
direct
0.7500 0.2500 0.7500
0.2500 0.7500 0.2500
0.1242 0.6231 0.6073
0.5848 0.6357 0.6434
0.1294 0.1342 0.1427
0.6399 0.1276 0.6184
0.8601 0.3724 0.8816
0.3821 0.3694 0.8722
0.6272 0.1258 0.1156
0.1402 0.6373 0.0930
0.3706 0.3658 0.3574
0.1180 0.1306 0.6278
0.9152 0.8643 0.8566
0.8728 0.3741 0.3845
0.6115 0.6272 0.1302
0.3598 0.8627 0.4070
0.8885 0.8728 0.3698
0.3758 0.8769 0.8927
0.7500 0.7500 0.7500
0.0010 0.0006 0.5020
0.0007 0.9967 0.0017
0.7500 0.2500 0.2500
0.2500 0.7500 0.7500
0.4990 0.4994 0.9980
0.2500 0.2500 0.2500
0.4993 0.5032 0.4984
0.7500 0.7500 0.2500
0.0072 0.4905 0.5111
0.5019 0.0003 0.5040
0.9981 0.4997 0.9960
0.4928 0.0095 0.9889
0.2500 0.2500 0.7500
```

Computed properties:
**Space group**: P-1
**Magnetic moment**: 9.00 μB/f.u.
**V**: 158 Å³/f.u.

Looking at the structures above, A is most stable, and the difference to the next one is 9 meV per atom.